# 1
The following is a PBE calculation of a geometry-optimized Cr3C8N6Cl12 structure, from the Materials Project database.

Unit cell a=11.687 b=19.980 c=6.997 alpha=90.00 beta=90.00 gamma=90.00
Fractional coordinates of all 58 atoms:
Cr: 0.000 0.000 0.000
Cr: 0.158 0.116 0.000
Cr: 0.342 0.616 0.500
Cr: 0.500 0.500 0.500
Cr: 0.658 0.384 0.500
Cr: 0.842 0.884 0.000
C: 0.079 0.200 0.500
C: 0.093 0.688 0.000
C: 0.098 0.872 0.500
C: 0.111 0.563 0.000
C: 0.389 0.063 0.500
C: 0.402 0.372 0.000
C: 0.407 0.188 0.500
C: 0.421 0.700 0.000
C: 0.579 0.300 0.000
C: 0.593 0.812 0.500
C: 0.598 0.628 0.000
C: 0.611 0.937 0.500
C: 0.889 0.437 0.000
C: 0.902 0.128 0.500
C: 0.907 0.312 0.000
C: 0.921 0.800 0.500
N: 0.014 0.838 0.500
N: 0.102 0.626 0.000
N: 0.152 0.424 0.500
N: 0.348 0.924 0.000
N: 0.398 0.126 0.500
N: 0.486 0.338 0.000
N: 0.514 0.662 0.000
N: 0.602 0.874 0.500
N: 0.652 0.076 0.000
N: 0.848 0.576 0.500
N: 0.898 0.374 0.000
N: 0.986 0.162 0.500
Cl: 0.046 0.885 0.000
Cl: 0.141 0.032 0.231
Cl: 0.141 0.032 0.769
Cl: 0.144 0.223 0.291
Cl: 0.144 0.223 0.709
Cl: 0.156 0.639 0.500
Cl: 0.344 0.139 0.000
Cl: 0.356 0.723 0.209
Cl: 0.356 0.723 0.791
Cl: 0.359 0.532 0.269
Cl: 0.359 0.532 0.731
Cl: 0.454 0.385 0.500
Cl: 0.546 0.615 0.500
Cl: 0.641 0.468 0.269
Cl: 0.641 0.468 0.731
Cl: 0.644 0.277 0.209
Cl: 0.644 0.277 0.791
Cl: 0.656 0.861 0.000
Cl: 0.844 0.361 0.500
Cl: 0.856 0.777 0.291
Cl: 0.856 0.777 0.709
Cl: 0.859 0.968 0.231
Cl: 0.859 0.968 0.769
Cl: 0.954 0.115 0.000

E_form: 0.4599 eV per atom
Energy: -5.320 eV per atom
Total energy after the MP2020 corrections: -5.5743 eV per atom
Total moment: 0.69 μB per atom
V: 1634.0 Å³ per cell

***

# 2
The following is a PBE calculation of a geometry-optimized CsHf6CCl15 structure, from the Materials Project database.

Unit cell a=18.747 b=14.125 c=9.864 alpha=90.00 beta=90.00 gamma=90.00
Fractional coordinates of all 92 atoms:
Cs: 0.250 0.248 0.171
Cs: 0.250 0.752 0.171
Cs: 0.750 0.248 0.829
Cs: 0.750 0.752 0.829
Hf: 0.029 0.113 0.847
Hf: 0.029 0.887 0.847
Hf: 0.111 0.000 0.079
Hf: 0.164 0.387 0.659
Hf: 0.164 0.613 0.659
Hf: 0.250 0.500 0.432
Hf: 0.250 0.500 0.883
Hf: 0.336 0.387 0.659
Hf: 0.336 0.613 0.659
Hf: 0.389 0.000 0.079
Hf: 0.471 0.113 0.847
Hf: 0.471 0.887 0.847
Hf: 0.529 0.113 0.153
Hf: 0.529 0.887 0.153
Hf: 0.611 0.000 0.921
Hf: 0.664 0.387 0.341
Hf: 0.664 0.613 0.341
Hf: 0.750 0.500 0.117
Hf: 0.750 0.500 0.568
Hf: 0.836 0.387 0.341
Hf: 0.836 0.613 0.341
Hf: 0.889 0.000 0.921
Hf: 0.971 0.113 0.153
Hf: 0.971 0.887 0.153
C: 0.000 0.000 0.000
C: 0.250 0.500 0.657
C: 0.500 0.000 0.000
C: 0.750 0.500 0.343
Cl: 0.000 0.250 0.000
Cl: 0.000 0.750 0.000
Cl: 0.061 0.500 0.659
Cl: 0.065 0.000 0.662
Cl: 0.065 0.249 0.666
Cl: 0.065 0.751 0.666
Cl: 0.093 0.124 0.260
Cl: 0.093 0.876 0.260
Cl: 0.153 0.378 0.405
Cl: 0.153 0.622 0.405
Cl: 0.155 0.377 0.912
Cl: 0.155 0.623 0.912
Cl: 0.157 0.122 0.917
Cl: 0.157 0.878 0.917
Cl: 0.250 0.000 0.179
Cl: 0.250 0.250 0.650
Cl: 0.250 0.500 0.158
Cl: 0.250 0.750 0.650
Cl: 0.343 0.122 0.917
Cl: 0.343 0.878 0.917
Cl: 0.345 0.377 0.912
Cl: 0.345 0.623 0.912
Cl: 0.347 0.378 0.405
Cl: 0.347 0.622 0.405
Cl: 0.407 0.124 0.260
Cl: 0.407 0.876 0.260
Cl: 0.435 0.000 0.662
Cl: 0.435 0.249 0.666
Cl: 0.435 0.751 0.666
Cl: 0.439 0.500 0.659
Cl: 0.500 0.250 0.000
Cl: 0.500 0.750 0.000
Cl: 0.561 0.500 0.341
Cl: 0.565 0.000 0.338
Cl: 0.565 0.249 0.334
Cl: 0.565 0.751 0.334
Cl: 0.593 0.124 0.740
Cl: 0.593 0.876 0.740
Cl: 0.653 0.378 0.595
Cl: 0.653 0.622 0.595
Cl: 0.655 0.377 0.088
Cl: 0.655 0.623 0.088
Cl: 0.657 0.122 0.083
Cl: 0.657 0.878 0.083
Cl: 0.750 0.000 0.821
Cl: 0.750 0.250 0.350
Cl: 0.750 0.500 0.842
Cl: 0.750 0.750 0.350
Cl: 0.843 0.122 0.083
Cl: 0.843 0.878 0.083
Cl: 0.845 0.377 0.088
Cl: 0.845 0.623 0.088
Cl: 0.847 0.378 0.595
Cl: 0.847 0.622 0.595
Cl: 0.907 0.124 0.740
Cl: 0.907 0.876 0.740
Cl: 0.935 0.000 0.338
Cl: 0.935 0.249 0.334
Cl: 0.935 0.751 0.334
Cl: 0.939 0.500 0.341

E_form: -2.1884 eV per atom
Energy: -6.031 eV per atom
Total energy after the MP2020 corrections: -6.4316 eV per atom
Total moment: 0.00 μB per atom
V: 2612.0 Å³ per cell

***

# 3
The following is a PBE calculation of a geometry-optimized CsOsC3Cl3O3 structure, from the Materials Project database.

Unit cell a=10.155 b=9.334 c=11.382 alpha=90.00 beta=91.11 gamma=90.00
Fractional coordinates of all 44 atoms:
Cs: 0.119 0.248 0.043
Cs: 0.119 0.252 0.543
Cs: 0.881 0.748 0.457
Cs: 0.881 0.752 0.957
Os: 0.296 0.620 0.790
Os: 0.296 0.880 0.290
Os: 0.704 0.120 0.710
Os: 0.704 0.380 0.210
C: 0.276 0.679 0.291
C: 0.276 0.821 0.791
C: 0.368 0.620 0.638
C: 0.368 0.880 0.138
C: 0.464 0.629 0.864
C: 0.464 0.871 0.364
C: 0.536 0.129 0.636
C: 0.536 0.371 0.136
C: 0.632 0.120 0.862
C: 0.632 0.380 0.362
C: 0.724 0.179 0.209
C: 0.724 0.321 0.709
Cl: 0.071 0.587 0.708
Cl: 0.071 0.913 0.208
Cl: 0.198 0.609 0.986
Cl: 0.198 0.891 0.486
Cl: 0.314 0.143 0.295
Cl: 0.314 0.357 0.795
Cl: 0.686 0.643 0.205
Cl: 0.686 0.857 0.705
Cl: 0.802 0.109 0.514
Cl: 0.802 0.391 0.014
Cl: 0.929 0.087 0.792
Cl: 0.929 0.413 0.292
O: 0.263 0.555 0.294
O: 0.263 0.945 0.794
O: 0.412 0.616 0.545
O: 0.412 0.884 0.045
O: 0.434 0.132 0.588
O: 0.434 0.368 0.088
O: 0.566 0.632 0.912
O: 0.566 0.868 0.412
O: 0.588 0.116 0.955
O: 0.588 0.384 0.455
O: 0.737 0.055 0.206
O: 0.737 0.445 0.706

E_form: -1.2097 eV per atom
Energy: -6.495 eV per atom
Total energy after the MP2020 corrections: -6.6823 eV per atom
Total moment: 0.00 μB per atom
V: 1078.7 Å³ per cell

***

# 4
The following is a PBE calculation of a geometry-optimized CsRu2C8Cl2O8 structure, from the Materials Project database.

Unit cell a=12.131 b=12.131 c=11.312 alpha=90.00 beta=90.00 gamma=90.00
Fractional coordinates of all 84 atoms:
Cs: 0.250 0.750 0.194
Cs: 0.250 0.750 0.694
Cs: 0.750 0.250 0.306
Cs: 0.750 0.250 0.806
Ru: 0.031 0.910 0.477
Ru: 0.090 0.531 0.977
Ru: 0.410 0.969 0.977
Ru: 0.469 0.590 0.477
Ru: 0.531 0.410 0.523
Ru: 0.590 0.031 0.023
Ru: 0.910 0.469 0.023
Ru: 0.969 0.090 0.523
C: 0.053 0.301 0.919
C: 0.056 0.065 0.284
C: 0.065 0.444 0.216
C: 0.080 0.195 0.871
C: 0.084 0.102 0.167
C: 0.102 0.416 0.333
C: 0.195 0.420 0.629
C: 0.199 0.053 0.581
C: 0.301 0.447 0.581
C: 0.305 0.080 0.629
C: 0.398 0.084 0.333
C: 0.416 0.398 0.167
C: 0.420 0.305 0.871
C: 0.435 0.056 0.216
C: 0.444 0.435 0.284
C: 0.447 0.199 0.919
C: 0.553 0.801 0.081
C: 0.556 0.565 0.716
C: 0.565 0.944 0.784
C: 0.580 0.695 0.129
C: 0.584 0.602 0.833
C: 0.602 0.916 0.667
C: 0.695 0.920 0.371
C: 0.699 0.553 0.419
C: 0.801 0.947 0.419
C: 0.805 0.580 0.371
C: 0.898 0.584 0.667
C: 0.916 0.898 0.833
C: 0.920 0.805 0.129
C: 0.935 0.556 0.784
C: 0.944 0.935 0.716
C: 0.947 0.699 0.081
Cl: 0.084 0.717 0.435
Cl: 0.217 0.916 0.935
Cl: 0.283 0.584 0.935
Cl: 0.416 0.783 0.435
Cl: 0.584 0.217 0.565
Cl: 0.717 0.416 0.065
Cl: 0.783 0.084 0.065
Cl: 0.916 0.283 0.565
O: 0.011 0.138 0.354
O: 0.036 0.576 0.813
O: 0.047 0.684 0.041
O: 0.076 0.964 0.313
O: 0.123 0.128 0.581
O: 0.128 0.377 0.919
O: 0.138 0.489 0.146
O: 0.184 0.953 0.541
O: 0.316 0.547 0.541
O: 0.362 0.011 0.146
O: 0.372 0.123 0.919
O: 0.377 0.372 0.581
O: 0.424 0.536 0.313
O: 0.453 0.816 0.041
O: 0.464 0.924 0.813
O: 0.489 0.362 0.354
O: 0.511 0.638 0.646
O: 0.536 0.076 0.187
O: 0.547 0.184 0.959
O: 0.576 0.464 0.687
O: 0.623 0.628 0.419
O: 0.628 0.877 0.081
O: 0.638 0.989 0.854
O: 0.684 0.453 0.459
O: 0.816 0.047 0.459
O: 0.862 0.511 0.854
O: 0.872 0.623 0.081
O: 0.877 0.872 0.419
O: 0.924 0.036 0.687
O: 0.953 0.316 0.959
O: 0.964 0.424 0.187
O: 0.989 0.862 0.646

E_form: -0.0265 eV per atom
Energy: -6.267 eV per atom
Total energy after the MP2020 corrections: -6.5291 eV per atom
Total moment: 0.34 μB per atom
V: 1664.8 Å³ per cell